[1]
! MgMnNiS4 GGA-PBE relaxed; values from VASP
! Energy relative to the elements ... -21.3 kcal/mol of atoms
&SYSTEM
  ibrav = 0, nat = 14, ntyp = 4
/
ATOMIC_SPECIES
S 32.06 S.upf
Ni 58.69 Ni.upf
Mn 54.94 Mn.upf
Mg 24.30 Mg.upf
CELL_PARAMETERS angstrom
6.126 0.001 3.539
2.012 5.786 3.592
-0.008 0.060 7.092
ATOMIC_POSITIONS crystal
S 0.732 0.736 0.300
Ni 0.500 0.500 0.500
Ni 0.000 0.500 0.500
S 0.268 0.700 0.264
Mn 0.500 0.000 0.500
Mg 0.128 0.122 0.122
S 0.707 0.263 0.263
S 0.267 0.263 0.263
S 0.732 0.300 0.736
S 0.733 0.737 0.737
S 0.293 0.737 0.737
Mg 0.872 0.878 0.878
Mn 0.500 0.500 0.000
S 0.268 0.264 0.700

***

[2]
! RbMg14Mn GGA-PBE relaxed; values from VASP
! Energy relative to the elements ... 4.7 kcal/mol of atoms
&SYSTEM
  ibrav = 0, nat = 16, ntyp = 3
/
ATOMIC_SPECIES
Mg 24.30 Mg.upf
Mn 54.94 Mn.upf
Rb 85.47 Rb.upf
CELL_PARAMETERS angstrom
6.514 -0.005 0.000
-3.262 5.649 0.000
0.000 0.000 10.511
ATOMIC_POSITIONS crystal
Mg 0.338 0.182 0.865
Mg 0.840 0.170 0.885
Mg 0.338 0.656 0.865
Mg 0.666 0.331 0.625
Mg 0.659 0.336 0.125
Mn 0.181 0.340 0.125
Mg 0.338 0.182 0.385
Mg 0.169 0.834 0.625
Mg 0.659 0.824 0.125
Mg 0.164 0.332 0.625
Mg 0.840 0.170 0.365
Rb 0.164 0.832 0.125
Mg 0.666 0.835 0.625
Mg 0.338 0.656 0.385
Mg 0.821 0.661 0.858
Mg 0.821 0.661 0.392

***

[3]
! RbMg6Mn GGA-PBE relaxed; values from VASP
! Energy relative to the elements ... 9.0 kcal/mol of atoms
&SYSTEM
  ibrav = 0, nat = 16, ntyp = 3
/
ATOMIC_SPECIES
Mn 54.94 Mn.upf
Mg 24.30 Mg.upf
Rb 85.47 Rb.upf
CELL_PARAMETERS angstrom
-0.184 4.790 -2.148
-6.689 0.496 1.679
2.901 4.677 10.178
ATOMIC_POSITIONS crystal
Mn 0.500 0.000 0.843
Mg 0.000 0.283 0.419
Mg 0.000 0.500 0.651
Mg 0.000 0.500 0.171
Mg 0.500 0.254 0.581
Rb 0.500 0.500 0.836
Rb 0.500 0.000 0.336
Mg 0.000 0.217 0.919
Mg 0.500 0.746 0.581
Mg 0.000 0.000 0.671
Mg 0.000 0.000 0.151
Mg 0.500 0.754 0.081
Mg 0.500 0.246 0.081
Mn 0.500 0.500 0.343
Mg 0.000 0.783 0.919
Mg 0.000 0.717 0.419

***

[4]
! RbMg14Mn GGA-PBE relaxed; values from VASP
! Energy relative to the elements ... 6.7 kcal/mol of atoms
&SYSTEM
  ibrav = 0, nat = 16, ntyp = 3
/
ATOMIC_SPECIES
Mn 54.94 Mn.upf
Mg 24.30 Mg.upf
Rb 85.47 Rb.upf
CELL_PARAMETERS angstrom
-5.211 0.634 -3.817
5.798 -1.300 -2.613
-1.891 -10.212 0.885
ATOMIC_POSITIONS crystal
Mn 0.167 0.333 0.125
Mg 0.833 0.667 0.866
Rb 0.167 0.333 0.625
Mg 0.833 0.667 0.384
Mg 0.841 0.170 0.907
Mg 0.330 0.170 0.907
Mg 0.330 0.659 0.907
Mg 0.841 0.170 0.343
Mg 0.177 0.839 0.625
Mg 0.661 0.839 0.625
Mg 0.661 0.323 0.625
Mg 0.330 0.659 0.343
Mg 0.330 0.170 0.343
Mg 0.673 0.345 0.125
Mg 0.673 0.827 0.125
Mg 0.155 0.827 0.125

***

[5]
! RbMg6Mn GGA-PBE relaxed; values from VASP
! Energy relative to the elements ... 9.2 kcal/mol of atoms
&SYSTEM
  ibrav = 0, nat = 16, ntyp = 3
/
ATOMIC_SPECIES
Mg 24.30 Mg.upf
Rb 85.47 Rb.upf
Mn 54.94 Mn.upf
CELL_PARAMETERS angstrom
-3.960 -0.390 -3.105
2.026 -6.031 -1.827
-6.530 -4.905 8.946
ATOMIC_POSITIONS crystal
Mg 0.500 0.276 0.412
Mg 0.000 0.719 0.561
Mg 0.500 0.224 0.912
Mg 0.000 0.781 0.061
Rb 0.500 0.000 0.671
Mg 0.500 0.776 0.912
Mg 0.500 0.500 0.675
Mg 0.500 0.000 0.175
Mn 0.000 0.000 0.876
Mg 0.000 0.219 0.061
Mg 0.000 0.000 0.334
Mn 0.000 0.500 0.376
Mg 0.000 0.281 0.561
Mg 0.000 0.500 0.834
Rb 0.500 0.500 0.171
Mg 0.500 0.724 0.412

***

[6]
! MgMn4S8 GGA-PBE relaxed; values from VASP
! Energy relative to the elements ... -22.5 kcal/mol of atoms
&SYSTEM
  ibrav = 0, nat = 13, ntyp = 3
/
ATOMIC_SPECIES
S 32.06 S.upf
Mn 54.94 Mn.upf
Mg 24.30 Mg.upf
CELL_PARAMETERS angstrom
-2.972 2.156 5.934
-4.198 -4.255 3.602
2.044 -2.623 6.135
ATOMIC_POSITIONS crystal
S 0.259 0.259 0.259
S 0.724 0.256 0.256
S 0.744 0.276 0.744
S 0.276 0.744 0.744
S 0.256 0.256 0.724
Mn 0.500 0.500 0.000
Mn 0.500 0.000 0.500
Mn 0.500 0.500 0.500
S 0.256 0.724 0.256
Mn 0.000 0.500 0.500
S 0.744 0.744 0.276
Mg 0.000 0.000 0.000
S 0.741 0.741 0.741

***

[7]
! MgMn4S8 GGA-PBE relaxed; values from VASP
! Energy relative to the elements ... -23.0 kcal/mol of atoms
&SYSTEM
  ibrav = 0, nat = 13, ntyp = 3
/
ATOMIC_SPECIES
S 32.06 S.upf
Mn 54.94 Mn.upf
Mg 24.30 Mg.upf
CELL_PARAMETERS angstrom
-5.212 4.337 2.673
-7.106 -1.617 0.090
-3.869 -1.381 6.021
ATOMIC_POSITIONS crystal
S 0.243 0.731 0.243
S 0.757 0.757 0.269
S 0.262 0.262 0.262
Mn 0.000 0.000 0.000
Mn 0.000 0.500 0.500
Mn 0.500 0.000 0.500
S 0.738 0.738 0.738
Mg 0.500 0.500 0.500
S 0.243 0.243 0.731
S 0.757 0.269 0.757
S 0.731 0.243 0.243
S 0.269 0.757 0.757
Mn 0.500 0.500 0.000

***

[8]
! MgMn4S8 GGA-PBE relaxed; values from VASP
! Energy relative to the elements ... -22.1 kcal/mol of atoms
&SYSTEM
  ibrav = 0, nat = 13, ntyp = 3
/
ATOMIC_SPECIES
Mg 24.30 Mg.upf
Mn 54.94 Mn.upf
S 32.06 S.upf
CELL_PARAMETERS angstrom
6.053 -0.004 3.489
2.014 5.697 3.489
-0.004 -0.003 6.984
ATOMIC_POSITIONS crystal
Mg 0.877 0.873 0.877
Mn 0.495 0.494 0.017
S 0.294 0.735 0.735
Mn 0.495 0.017 0.495
Mn 0.495 0.494 0.495
S 0.719 0.260 0.261
S 0.735 0.735 0.294
S 0.261 0.718 0.261
S 0.736 0.736 0.736
S 0.261 0.260 0.261
Mn 0.017 0.494 0.495
S 0.736 0.292 0.736
S 0.261 0.260 0.719

***

[9]
! Mg2ScMn3S8 GGA-PBE relaxed; values from VASP
! Energy relative to the elements ... -29.4 kcal/mol of atoms
&SYSTEM
  ibrav = 0, nat = 14, ntyp = 4
/
ATOMIC_SPECIES
S 32.06 S.upf
Mn 54.94 Mn.upf
Sc 44.96 Sc.upf
Mg 24.30 Mg.upf
CELL_PARAMETERS angstrom
-6.627 2.881 -1.433
-4.675 -3.557 -4.434
-6.056 -3.131 2.793
ATOMIC_POSITIONS crystal
S 0.738 0.739 0.739
S 0.262 0.261 0.261
S 0.719 0.253 0.253
S 0.747 0.282 0.747
Mn 0.500 0.000 0.500
Mn 0.500 0.500 0.000
Sc 0.500 0.500 0.500
Mn 0.000 0.500 0.500
S 0.281 0.747 0.747
S 0.747 0.747 0.281
S 0.253 0.718 0.253
Mg 0.875 0.875 0.875
S 0.253 0.253 0.719
Mg 0.125 0.125 0.125

***

Q: Number 6 is which compound?
A: MgMn4S8

***

Please write out number 1 again, unchanged.
! MgMnNiS4 GGA-PBE relaxed; values from VASP
! Energy relative to the elements ... -21.3 kcal/mol of atoms
&SYSTEM
  ibrav = 0, nat = 14, ntyp = 4
/
ATOMIC_SPECIES
S 32.06 S.upf
Ni 58.69 Ni.upf
Mn 54.94 Mn.upf
Mg 24.30 Mg.upf
CELL_PARAMETERS angstrom
6.126 0.001 3.539
2.012 5.786 3.592
-0.008 0.060 7.092
ATOMIC_POSITIONS crystal
S 0.732 0.736 0.300
Ni 0.500 0.500 0.500
Ni 0.000 0.500 0.500
S 0.268 0.700 0.264
Mn 0.500 0.000 0.500
Mg 0.128 0.122 0.122
S 0.707 0.263 0.263
S 0.267 0.263 0.263
S 0.732 0.300 0.736
S 0.733 0.737 0.737
S 0.293 0.737 0.737
Mg 0.872 0.878 0.878
Mn 0.500 0.500 0.000
S 0.268 0.264 0.700

***

Q: Which formula does entry 8 have?
A: MgMn4S8